(1)
Computed, not measured: a relaxed TlV6PSe7 crystal at the PBE level of DFT.

The calculation puts the calculated total energy at -97.05 eV per cell.

It has space group P3 (No. 143), with a = 9.5977 Å, b = 9.5977 Å, c = 3.3806 Å, α = 90.00°, β = 90.00° and γ = 120.00°. The inequivalent atoms are Tl at (0.0000, 0.0000, 0.0000), V at (0.1334, 0.5035, 0.2484), V at (0.4929, 0.3726, 0.7513), P at (0.3333, 0.6667, 0.7491), Se at (0.0519, 0.7073, 0.2547), Se at (0.3438, 0.0457, 0.7449) and Se at (0.6667, 0.3333, 0.2506).

---

(2)
Computed, not measured: a relaxed U5P3Se2 crystal at the PBE level of DFT.

The calculation puts the calculated total energy at -358.64 eV per cell.

It has space group C2/c (No. 15), with a = 6.849 Å, b = 20.091 Å, c = 6.887 Å, α = 90.00°, β = 109.94° and γ = 90.00°. The inequivalent atoms are U at (0.238, 0.053, 0.000), U at (0.243, 0.147, 0.493), U at (0.250, 0.250, 0.000), P at (0.000, 0.049, 0.250), P at (0.000, 0.152, 0.750), P at (0.000, 0.350, 0.750), Se at (0.000, 0.252, 0.250) and Se at (0.000, 0.452, 0.250).

---

(3)
Computed, not measured: a relaxed U3P2Se crystal at the PBE level of DFT.

The calculation puts the calculated total energy at -108.37 eV per cell.

It has space group Immm (No. 71), with a = 3.966 Å, b = 5.616 Å, c = 11.929 Å, α = 90.00°, β = 90.00° and γ = 90.00°. The inequivalent atoms are U at (0.000, 0.000, 0.000), U at (0.000, 0.000, 0.324), P at (0.000, 0.500, 0.337) and Se at (0.000, 0.500, 0.000).

---

(4)
Computed, not measured: a relaxed SiP crystal at the PBE level of DFT.

The calculation puts the calculated total energy at -266.62 eV per cell.

It has space group Cmc2_1 (No. 36), with a = 3.531 Å, b = 20.567 Å, c = 15.611 Å, α = 90.00°, β = 90.00° and γ = 90.00°. The inequivalent atoms are Si at (0.000, 0.060, 0.000), Si at (0.000, 0.171, 0.037), Si at (0.000, 0.202, 0.601), Si at (0.000, 0.205, 0.450), Si at (0.000, 0.433, 0.936), Si at (0.000, 0.436, 0.087), P at (0.000, 0.000, 0.125), P at (0.000, 0.114, 0.367), P at (0.000, 0.231, 0.912), P at (0.000, 0.310, 0.627), P at (0.000, 0.345, 0.170) and P at (0.000, 0.459, 0.410).

---

(5)
Computed, not measured: a relaxed Si3P crystal at the PBE level of DFT.

The calculation puts the calculated total energy at -78.07 eV per cell.

It has space group Fm-3m (No. 225), with a = 6.147 Å, b = 6.147 Å, c = 6.147 Å, α = 90.00°, β = 90.00° and γ = 90.00°. The inequivalent atoms are Si at (0.000, 0.000, 0.000), Si at (0.250, 0.250, 0.250) and P at (0.000, 0.000, 0.500).

---

(6)
Computed, not measured: a relaxed SiP crystal at the PBE level of DFT.

The calculation puts the calculated total energy at -41.51 eV per cell.

It has space group F-43m (No. 216), with a = 5.344 Å, b = 5.344 Å, c = 5.344 Å, α = 90.00°, β = 90.00° and γ = 90.00°. The inequivalent atoms are Si at (0.000, 0.000, 0.000) and P at (0.250, 0.250, 0.250).

---

(7)
Computed, not measured: a relaxed ZnSiP2 crystal at the PBE level of DFT.

The calculation puts the energy above the most stable polymorph in this dataset at 3.19 eV per formula unit. The calculation puts the calculated total energy at -62.31 eV per cell.

It has space group Fm-3m (No. 225), with a = 6.221 Å, b = 6.221 Å, c = 6.221 Å, α = 90.00°, β = 90.00° and γ = 90.00°. The inequivalent atoms are Zn at (0.000, 0.000, 0.000), Si at (0.000, 0.000, 0.500) and P at (0.250, 0.250, 0.250).

---

(8)
Computed, not measured: a relaxed ZnSiP2 crystal at the PBE level of DFT.

The calculation puts the energy above the most stable polymorph in this dataset at 0.00 eV per formula unit. For the maximum piezoelectric response, the calculation gives 0.12 C/m². The calculation puts the calculated total energy at -75.06 eV per cell.

It has space group I-42d (No. 122), with a = 5.422 Å, b = 5.422 Å, c = 10.537 Å, α = 90.00°, β = 90.00° and γ = 90.00°. The inequivalent atoms are Zn at (0.000, 0.000, 0.000), Si at (0.000, 0.000, 0.500) and P at (0.232, 0.250, 0.625).